Run one
Entry from Materials Project: a geometry-optimized Li2MnP2O7 structure (GGA+U).

```
Li2MnP2O7
1.0
-3.984 -6.528 -1.696
2.676 0.278 -7.358
8.095 -5.649 2.731
Li Mn P O
8 4 8 28
Direct
0.226 0.726 0.273
0.226 0.726 0.773
0.274 0.226 0.227
0.274 0.226 0.727
0.726 0.774 0.227
0.726 0.774 0.727
0.774 0.274 0.273
0.774 0.274 0.773
0.000 0.000 0.500
0.500 0.500 0.000
0.000 0.000 0.000
0.500 0.500 0.500
0.141 0.359 0.444
0.141 0.359 0.944
0.359 0.859 0.056
0.359 0.859 0.556
0.641 0.141 0.056
0.641 0.141 0.556
0.859 0.641 0.444
0.859 0.641 0.944
0.000 0.500 0.403
0.000 0.500 0.903
0.500 0.000 0.097
0.500 0.000 0.597
0.156 0.344 0.090
0.156 0.344 0.590
0.344 0.844 0.410
0.344 0.844 0.910
0.656 0.156 0.410
0.656 0.156 0.910
0.844 0.656 0.090
0.844 0.656 0.590
0.078 0.196 0.374
0.078 0.196 0.874
0.196 0.922 0.126
0.196 0.922 0.626
0.304 0.422 0.374
0.304 0.422 0.874
0.422 0.696 0.126
0.422 0.696 0.626
0.578 0.304 0.126
0.578 0.304 0.626
0.696 0.578 0.374
0.696 0.578 0.874
0.804 0.078 0.126
0.804 0.078 0.626
0.922 0.804 0.374
0.922 0.804 0.874
```

Largest piezoelectric modulus: 0.248 C/m2

---

Run two
Entry from Materials Project: a geometry-optimized Li2MnP2O7 structure (GGA+U).

```
Li2MnP2O7
1.0
1.083 6.969 1.694
8.031 -0.546 -2.873
-2.439 5.927 -7.949
Li Mn P O
8 4 8 28
Direct
0.350 0.148 0.093
0.350 0.148 0.593
0.650 0.648 0.407
0.650 0.648 0.907
0.089 0.322 0.324
0.089 0.322 0.824
0.911 0.822 0.176
0.911 0.822 0.676
0.277 0.508 0.594
0.723 0.008 0.906
0.277 0.508 0.094
0.723 0.008 0.406
0.479 0.814 0.194
0.479 0.814 0.694
0.521 0.314 0.306
0.521 0.314 0.806
0.918 0.205 0.110
0.918 0.205 0.609
0.082 0.705 0.391
0.082 0.706 0.891
0.096 0.687 0.036
0.096 0.687 0.536
0.904 0.187 0.464
0.904 0.187 0.964
0.106 0.292 0.106
0.105 0.292 0.606
0.895 0.792 0.394
0.895 0.792 0.894
0.503 0.964 0.107
0.503 0.964 0.607
0.497 0.464 0.393
0.497 0.464 0.893
0.497 0.667 0.105
0.496 0.667 0.605
0.504 0.167 0.394
0.504 0.167 0.894
0.383 0.309 0.220
0.383 0.309 0.721
0.617 0.809 0.279
0.617 0.809 0.779
0.101 0.551 0.312
0.101 0.551 0.812
0.899 0.050 0.188
0.899 0.051 0.688
0.255 0.823 0.303
0.255 0.824 0.803
0.745 0.324 0.197
0.744 0.324 0.697
```

Largest piezoelectric modulus: 0.381 C/m2

---

Short version: run two, run one, most stable first.